Entry 1:
A relaxed Ba5Cr3ClO12 crystal, computed with PBE+U. Values from VASP.

Output
Symmetry: No. 176
E_form: -2.632 eV/atom

```
&SYSTEM
  ibrav = 0, nat = 42, ntyp = 4
/
ATOMIC_SPECIES
Cr 52.00 Cr.upf
O 16.00 O.upf
Ba 137.33 Ba.upf
Cl 35.45 Cl.upf
CELL_PARAMETERS angstrom
7.300 2.214 -2.172
4.235 -6.427 7.682
-1.785 -3.914 -9.987
ATOMIC_POSITIONS crystal
Cr 0.750 0.365 0.965
O 0.072 0.910 0.649
O 0.250 0.332 0.481
Ba 0.999 0.667 0.333
Ba 0.750 0.993 0.726
O 0.928 0.090 0.351
Ba 0.001 0.333 0.667
O 0.072 0.739 0.090
O 0.750 0.453 0.868
O 0.250 0.519 0.851
Cl 0.750 0.000 0.000
Cr 0.250 0.965 0.600
Cr 0.750 0.035 0.400
O 0.250 0.149 0.668
O 0.750 0.481 0.149
O 0.250 0.585 0.453
O 0.250 0.547 0.132
Ba 0.750 0.733 0.007
Cr 0.750 0.600 0.635
Ba 0.501 0.667 0.333
O 0.928 0.649 0.739
Ba 0.499 0.333 0.667
O 0.572 0.261 0.910
Ba 0.250 0.726 0.733
Cr 0.250 0.400 0.365
O 0.750 0.851 0.332
Ba 0.250 0.267 0.993
Ba 0.750 0.274 0.267
O 0.928 0.261 0.910
O 0.250 0.868 0.415
Cl 0.250 0.000 0.000
Cr 0.250 0.635 0.035
O 0.072 0.351 0.261
O 0.750 0.668 0.519
Ba 0.250 0.007 0.274
O 0.572 0.649 0.739
O 0.428 0.351 0.261
O 0.428 0.739 0.090
O 0.572 0.090 0.351
O 0.750 0.415 0.547
O 0.750 0.132 0.585
O 0.428 0.910 0.649
```



Entry 2:
A relaxed KBaV2CuClO7 crystal, computed with PBE+U. Values from VASP.

Output
Symmetry: No. 35
E_form: -2.291 eV/atom

```
&SYSTEM
  ibrav = 0, nat = 26, ntyp = 6
/
ATOMIC_SPECIES
V 50.94 V.upf
O 16.00 O.upf
Cu 63.55 Cu.upf
Cl 35.45 Cl.upf
K 39.10 K.upf
Ba 137.33 Ba.upf
CELL_PARAMETERS angstrom
6.305 -6.415 0.000
6.305 6.415 0.000
0.000 0.000 5.620
ATOMIC_POSITIONS crystal
V 0.631 0.369 0.300
O 0.697 0.915 0.186
O 0.000 0.000 0.158
O 0.195 0.591 0.182
Cu 0.000 0.500 0.224
Cl 0.500 0.000 0.692
O 0.630 0.370 0.601
K 0.327 0.327 0.833
Cu 0.500 0.000 0.224
O 0.881 0.881 0.602
V 0.369 0.631 0.300
Cl 0.000 0.500 0.692
Ba 0.821 0.179 0.838
O 0.915 0.697 0.186
O 0.303 0.085 0.186
O 0.119 0.119 0.602
O 0.370 0.630 0.601
O 0.085 0.303 0.186
O 0.805 0.409 0.182
O 0.409 0.805 0.182
O 0.500 0.500 0.172
O 0.591 0.195 0.182
K 0.673 0.673 0.833
V 0.867 0.867 0.300
Ba 0.179 0.821 0.838
V 0.133 0.133 0.300
```



Entry 3:
A relaxed Ba2V2CuClO8 crystal, computed with PBE+U. Values from VASP.

Output
Symmetry: No. 62
E_form: -2.405 eV/atom

```
&SYSTEM
  ibrav = 0, nat = 56, ntyp = 5
/
ATOMIC_SPECIES
Ba 137.33 Ba.upf
V 50.94 V.upf
Cl 35.45 Cl.upf
O 16.00 O.upf
Cu 63.55 Cu.upf
CELL_PARAMETERS angstrom
0.000 6.163 0.000
0.000 0.000 9.696
15.210 0.000 0.000
ATOMIC_POSITIONS crystal
Ba 0.750 0.454 0.754
Ba 0.250 0.638 0.963
V 0.250 0.287 0.870
Ba 0.750 0.362 0.037
V 0.750 0.714 0.366
Cl 0.750 0.116 0.744
O 0.750 0.086 0.966
O 0.250 0.254 0.751
Ba 0.250 0.954 0.746
Cu 0.000 0.000 0.000
Cu 0.500 0.000 0.000
O 0.476 0.380 0.899
O 0.488 0.131 0.102
O 0.012 0.369 0.602
V 0.750 0.787 0.630
Ba 0.250 0.546 0.246
O 0.750 0.872 0.082
O 0.250 0.372 0.418
Ba 0.750 0.046 0.254
O 0.750 0.626 0.911
O 0.976 0.620 0.101
Cl 0.250 0.616 0.756
Cu 0.000 0.500 0.500
O 0.976 0.880 0.601
O 0.024 0.380 0.899
O 0.250 0.914 0.034
O 0.250 0.374 0.089
O 0.988 0.869 0.898
O 0.250 0.246 0.251
O 0.250 0.126 0.589
O 0.988 0.631 0.398
V 0.250 0.286 0.634
V 0.750 0.713 0.130
O 0.750 0.414 0.466
O 0.750 0.874 0.411
O 0.524 0.880 0.601
V 0.250 0.213 0.370
O 0.488 0.369 0.602
O 0.476 0.120 0.399
O 0.750 0.754 0.749
O 0.250 0.128 0.918
O 0.250 0.586 0.534
O 0.024 0.120 0.399
O 0.750 0.746 0.249
O 0.512 0.631 0.398
Cu 0.500 0.500 0.500
Ba 0.750 0.138 0.537
Ba 0.250 0.862 0.463
O 0.012 0.131 0.102
V 0.250 0.214 0.134
V 0.750 0.786 0.866
O 0.512 0.869 0.898
O 0.750 0.628 0.582
Cl 0.250 0.884 0.256
Cl 0.750 0.384 0.244
O 0.524 0.620 0.101
```